Entry 1:
Computed, not measured: Zn2NiP2H8O12 after structural relaxation at the GGA+U level of DFT.

Results
The calculated total energy is -5.573 eV per atom. The calculation puts the calculated formation energy at -1.779 eV per atom.

The structure in CIF format:
```
data_Zn2NiP2H8O12
_chemical_formula_sum 'Zn8 Ni4 P8 H32 O48'
_symmetry_space_group_name_H-M 'P n m a'
_symmetry_Int_Tables_number 62
_symmetry_space_group_name_Hall '-P 2ac 2n'
_cell_length_a 10.6360
_cell_length_b 18.9352
_cell_length_c 5.0473
_cell_angle_alpha 90.00
_cell_angle_beta 90.00
_cell_angle_gamma 90.00
loop_
_atom_site_label
_atom_site_fract_x
_atom_site_fract_y
_atom_site_fract_z
_atom_site_occupancy
Zn1 0.1423 0.0019 0.2249 1
Ni1 0.2340 0.7500 0.5641 1
P1 0.1018 0.5945 0.7307 1
H1 0.0682 0.2094 0.3640 1
H2 0.1041 0.7099 0.1355 1
H3 0.1163 0.1362 0.9390 1
H4 0.2131 0.1530 0.7030 1
O1 0.0314 0.0804 0.1485 1
O2 0.1011 0.5801 0.4310 1
O3 0.1023 0.7500 0.2606 1
O4 0.1234 0.2500 0.3395 1
O5 0.1393 0.6709 0.7930 1
O6 0.1658 0.1736 0.8483 1
O7 0.1947 0.5399 0.8704 1
```

=====

Entry 2:
Computed, not measured: Rb2NiH12Se2O14 after structural relaxation at the GGA+U level of DFT.

Results
The calculated total energy is -5.033 eV per atom. The calculation puts the calculated formation energy at -1.402 eV per atom.

The structure in CIF format:
```
data_Rb2NiH12Se2O14
_chemical_formula_sum 'Rb4 Ni2 H24 Se4 O28'
_symmetry_space_group_name_H-M 'P 1 21/c 1'
_symmetry_Int_Tables_number 14
_symmetry_space_group_name_Hall '-P 2ybc'
_cell_length_a 6.4395
_cell_length_b 12.7428
_cell_length_c 9.3699
_cell_angle_alpha 90.00
_cell_angle_beta 104.92
_cell_angle_gamma 90.00
loop_
_atom_site_label
_atom_site_fract_x
_atom_site_fract_y
_atom_site_fract_z
_atom_site_occupancy
Rb1 0.1578 0.1538 0.3662 1
Ni1 0.5000 0.0000 0.0000 1
H1 0.1681 0.5556 0.5978 1
H2 0.1781 0.6369 0.4723 1
H3 0.1866 0.0905 0.7961 1
H4 0.4084 0.1274 0.7620 1
H5 0.4279 0.5939 0.2328 1
H6 0.5005 0.1817 0.1439 1
Se1 0.2323 0.6404 0.9037 1
O1 0.0765 0.7437 0.9158 1
O2 0.0970 0.5648 0.7631 1
O3 0.2093 0.5624 0.5029 1
O4 0.2774 0.5689 0.0581 1
O5 0.3381 0.1113 0.8422 1
O6 0.4654 0.6824 0.8729 1
O7 0.4741 0.1074 0.1674 1
```

=====

Entry 3:
Computed, not measured: NiH12SO9 after structural relaxation at the GGA+U level of DFT.

Results
The calculated total energy is -4.379 eV per atom. The calculation puts the calculated formation energy at -0.621 eV per atom.

The structure in CIF format:
```
data_NiH12SO9
_chemical_formula_sum 'Ni1 H12 S1 O9'
_symmetry_space_group_name_H-M 'P 1'
_symmetry_Int_Tables_number 1
_symmetry_space_group_name_Hall 'P 1'
_cell_length_a 5.8054
_cell_length_b 8.2557
_cell_length_c 10.0853
_cell_angle_alpha 66.22
_cell_angle_beta 81.71
_cell_angle_gamma 84.44
loop_
_atom_site_label
_atom_site_fract_x
_atom_site_fract_y
_atom_site_fract_z
_atom_site_occupancy
Ni1 0.0000 0.0000 0.0000 1
H1 0.1637 0.2952 0.1274 1
H2 0.3145 0.7142 0.1344 1
H3 0.3332 0.4491 0.0463 1
H4 0.3684 0.3842 0.3077 1
H5 0.4338 0.3941 0.3631 1
H6 0.4346 0.8943 0.3752 1
H7 0.5642 0.3366 0.8612 1
H8 0.7550 0.5982 0.4648 1
H9 0.7790 0.2655 0.7912 1
H10 0.7857 0.6264 0.5221 1
H11 0.9114 0.0756 0.4563 1
H12 0.9775 0.9308 0.2769 1
S1 0.5244 0.9190 0.9604 1
O1 0.0654 0.0025 0.3085 1
O2 0.1742 0.4231 0.0918 1
O3 0.3176 0.0428 0.9766 1
O4 0.4200 0.7224 0.0458 1
O5 0.4408 0.1532 0.6317 1
O6 0.6429 0.2025 0.5893 1
O7 0.6937 0.9266 0.0604 1
O8 0.7300 0.3544 0.8312 1
O9 0.9506 0.9565 0.4585 1
```

=====

- The lowest calculated formation energy belongs to which entry?
  Zn2NiP2H8O12

=====

Please write out number 1 again, unchanged.
Computed, not measured: Zn2NiP2H8O12 after structural relaxation at the GGA+U level of DFT.

Results
The calculated total energy is -5.573 eV per atom. The calculation puts the calculated formation energy at -1.779 eV per atom.

The structure in CIF format:
```
data_Zn2NiP2H8O12
_chemical_formula_sum 'Zn8 Ni4 P8 H32 O48'
_symmetry_space_group_name_H-M 'P n m a'
_symmetry_Int_Tables_number 62
_symmetry_space_group_name_Hall '-P 2ac 2n'
_cell_length_a 10.6360
_cell_length_b 18.9352
_cell_length_c 5.0473
_cell_angle_alpha 90.00
_cell_angle_beta 90.00
_cell_angle_gamma 90.00
loop_
_atom_site_label
_atom_site_fract_x
_atom_site_fract_y
_atom_site_fract_z
_atom_site_occupancy
Zn1 0.1423 0.0019 0.2249 1
Ni1 0.2340 0.7500 0.5641 1
P1 0.1018 0.5945 0.7307 1
H1 0.0682 0.2094 0.3640 1
H2 0.1041 0.7099 0.1355 1
H3 0.1163 0.1362 0.9390 1
H4 0.2131 0.1530 0.7030 1
O1 0.0314 0.0804 0.1485 1
O2 0.1011 0.5801 0.4310 1
O3 0.1023 0.7500 0.2606 1
O4 0.1234 0.2500 0.3395 1
O5 0.1393 0.6709 0.7930 1
O6 0.1658 0.1736 0.8483 1
O7 0.1947 0.5399 0.8704 1
```

=====

- calculated total energy of number 2 (Rb2NiH12Se2O14)?
  -5.033 eV per atom